No. 1
This record from the Materials Project database describes a relaxed structure of Bi17P5Pb5O43. The functional is PBE-GGA.

Lattice parameters (Å, degrees): 11.663 11.663 11.653 118.10 118.10 92.92
Positions (direct):
Bi 0.000 0.000 0.000
Bi 0.003 0.359 0.357
Bi 0.003 0.680 0.693
Bi 0.330 0.330 0.010
Bi 0.333 0.674 0.691
Bi 0.338 0.673 0.359
Bi 0.343 0.994 0.000
Bi 0.353 0.353 0.726
Bi 0.359 0.003 0.357
Bi 0.658 0.658 0.672
Bi 0.673 0.338 0.359
Bi 0.674 0.333 0.691
Bi 0.676 0.973 0.348
Bi 0.680 0.003 0.693
Bi 0.973 0.676 0.348
Bi 0.994 0.343 0.000
Bi 0.994 0.994 0.355
P 0.002 0.313 0.666
P 0.313 0.002 0.666
P 0.335 0.335 0.380
P 0.682 0.984 0.046
P 0.984 0.682 0.046
Pb 0.329 0.665 0.030
Pb 0.648 0.648 0.331
Pb 0.661 0.661 0.017
Pb 0.665 0.329 0.030
Pb 0.989 0.989 0.663
O 0.060 0.591 0.094
O 0.075 0.785 0.047
O 0.097 0.582 0.536
O 0.108 0.926 0.885
O 0.156 0.947 0.527
O 0.159 0.354 0.790
O 0.228 0.228 0.200
O 0.258 0.409 0.459
O 0.278 0.775 0.857
O 0.322 0.918 0.738
O 0.354 0.159 0.790
O 0.359 0.540 0.175
O 0.393 0.570 0.811
O 0.395 0.811 0.312
O 0.402 0.982 0.597
O 0.409 0.258 0.459
O 0.419 0.968 0.196
O 0.443 0.443 0.972
O 0.447 0.447 0.414
O 0.540 0.359 0.175
O 0.555 0.751 0.545
O 0.570 0.393 0.811
O 0.570 0.755 0.178
O 0.582 0.097 0.536
O 0.591 0.060 0.094
O 0.593 0.839 0.888
O 0.748 0.932 0.536
O 0.751 0.555 0.545
O 0.755 0.570 0.178
O 0.769 0.956 0.178
O 0.775 0.278 0.857
O 0.785 0.075 0.047
O 0.811 0.395 0.312
O 0.830 0.830 0.774
O 0.839 0.593 0.888
O 0.876 0.876 0.378
O 0.918 0.322 0.738
O 0.926 0.108 0.885
O 0.932 0.748 0.536
O 0.947 0.156 0.527
O 0.956 0.769 0.178
O 0.968 0.419 0.196
O 0.982 0.402 0.597

No. 2
This record from the Materials Project database describes a relaxed structure of BiP3Pb4O13. The functional is PBE-GGA.

Lattice parameters (Å, degrees): 13.393 10.228 9.664 90.00 90.00 90.00
Positions (direct):
Bi 0.225 0.250 0.210
Bi 0.275 0.750 0.710
Bi 0.725 0.250 0.290
Bi 0.775 0.750 0.790
P 0.013 0.250 0.091
P 0.174 0.538 0.430
P 0.174 0.962 0.430
P 0.326 0.038 0.930
P 0.326 0.462 0.930
P 0.487 0.750 0.591
P 0.513 0.250 0.409
P 0.674 0.538 0.070
P 0.674 0.962 0.070
P 0.826 0.038 0.570
P 0.826 0.462 0.570
P 0.987 0.750 0.909
Pb 0.012 0.250 0.472
Pb 0.066 0.061 0.800
Pb 0.066 0.439 0.800
Pb 0.228 0.750 0.138
Pb 0.272 0.250 0.638
Pb 0.434 0.561 0.300
Pb 0.434 0.939 0.300
Pb 0.488 0.750 0.972
Pb 0.512 0.250 0.028
Pb 0.566 0.061 0.700
Pb 0.566 0.439 0.700
Pb 0.728 0.750 0.362
Pb 0.772 0.250 0.862
Pb 0.934 0.561 0.200
Pb 0.934 0.939 0.200
Pb 0.988 0.750 0.528
O 0.006 0.750 0.069
O 0.067 0.581 0.385
O 0.067 0.919 0.385
O 0.082 0.130 0.128
O 0.082 0.370 0.128
O 0.086 0.750 0.831
O 0.103 0.250 0.672
O 0.185 0.114 0.417
O 0.185 0.386 0.417
O 0.187 0.577 0.586
O 0.187 0.923 0.586
O 0.247 0.106 0.838
O 0.247 0.394 0.838
O 0.253 0.606 0.338
O 0.253 0.894 0.338
O 0.313 0.077 0.086
O 0.313 0.423 0.086
O 0.315 0.614 0.917
O 0.315 0.886 0.917
O 0.397 0.750 0.172
O 0.414 0.250 0.331
O 0.418 0.630 0.628
O 0.418 0.870 0.628
O 0.433 0.081 0.885
O 0.433 0.419 0.885
O 0.494 0.250 0.569
O 0.506 0.750 0.431
O 0.567 0.581 0.115
O 0.567 0.919 0.115
O 0.582 0.130 0.372
O 0.582 0.370 0.372
O 0.586 0.750 0.669
O 0.603 0.250 0.828
O 0.685 0.114 0.083
O 0.685 0.386 0.083
O 0.687 0.577 0.914
O 0.687 0.923 0.914
O 0.747 0.106 0.662
O 0.747 0.394 0.662
O 0.753 0.606 0.162
O 0.753 0.894 0.162
O 0.813 0.077 0.414
O 0.813 0.423 0.414
O 0.815 0.614 0.583
O 0.815 0.886 0.583
O 0.897 0.750 0.328
O 0.914 0.250 0.169
O 0.918 0.630 0.872
O 0.918 0.870 0.872
O 0.933 0.081 0.615
O 0.933 0.419 0.615
O 0.994 0.250 0.931

No. 3
This record from the Materials Project database describes a relaxed structure of BiP3Pb3O12. The functional is PBE-GGA.

Lattice parameters (Å, degrees): 9.163 9.163 9.133 109.51 109.51 109.42
Positions (direct):
Bi 0.166 0.834 0.500
Bi 0.834 0.166 0.000
P 0.083 0.958 0.876
P 0.201 0.581 0.131
P 0.457 0.713 0.746
P 0.581 0.201 0.631
P 0.713 0.457 0.246
P 0.958 0.083 0.376
Pb 0.336 0.342 0.857
Pb 0.342 0.336 0.357
Pb 0.478 0.978 0.153
Pb 0.681 0.827 0.493
Pb 0.827 0.681 0.993
Pb 0.978 0.478 0.653
O 0.017 0.765 0.842
O 0.079 0.654 0.173
O 0.093 0.249 0.564
O 0.131 0.979 0.731
O 0.163 0.413 0.153
O 0.165 0.527 0.937
O 0.249 0.093 0.064
O 0.269 0.696 0.689
O 0.398 0.734 0.262
O 0.413 0.163 0.653
O 0.477 0.582 0.811
O 0.490 0.678 0.586
O 0.527 0.165 0.437
O 0.582 0.477 0.311
O 0.599 0.908 0.909
O 0.654 0.079 0.673
O 0.678 0.490 0.086
O 0.696 0.269 0.189
O 0.734 0.398 0.762
O 0.765 0.017 0.342
O 0.908 0.599 0.409
O 0.925 0.998 0.853
O 0.979 0.131 0.231
O 0.998 0.925 0.353

No. 4
This record from the Materials Project database describes a relaxed structure of Sr4BiP3O13. The functional is PBE-GGA.

Lattice parameters (Å, degrees): 9.767 7.348 9.898 90.00 119.56 90.00
Positions (direct):
Sr 0.006 0.250 0.237
Sr 0.238 0.250 0.989
Sr 0.342 0.001 0.673
Sr 0.342 0.499 0.673
Sr 0.658 0.501 0.327
Sr 0.658 0.999 0.327
Sr 0.762 0.750 0.011
Sr 0.994 0.750 0.763
Bi 0.225 0.750 0.232
Bi 0.775 0.250 0.768
P 0.032 0.750 0.401
P 0.370 0.750 0.966
P 0.396 0.250 0.368
P 0.604 0.750 0.632
P 0.630 0.250 0.034
P 0.968 0.250 0.599
O 0.018 0.750 0.022
O 0.088 0.581 0.343
O 0.088 0.919 0.343
O 0.119 0.750 0.581
O 0.149 0.250 0.669
O 0.264 0.578 0.915
O 0.264 0.922 0.915
O 0.330 0.250 0.483
O 0.337 0.079 0.260
O 0.337 0.421 0.260
O 0.421 0.750 0.546
O 0.466 0.750 0.879
O 0.483 0.750 0.145
O 0.517 0.250 0.855
O 0.534 0.250 0.121
O 0.579 0.250 0.454
O 0.663 0.579 0.740
O 0.663 0.921 0.740
O 0.670 0.750 0.517
O 0.736 0.078 0.085
O 0.736 0.422 0.085
O 0.851 0.750 0.331
O 0.881 0.250 0.419
O 0.912 0.081 0.657
O 0.912 0.419 0.657
O 0.982 0.250 0.978

No. 5
This record from the Materials Project database describes a relaxed structure of SrBiP2O8. The functional is PBE-GGA.

Lattice parameters (Å, degrees): 5.518 7.225 9.745 106.94 97.79 97.71
Positions (direct):
Sr 0.239 0.304 0.061
Sr 0.761 0.696 0.939
Bi 0.322 0.701 0.442
Bi 0.678 0.299 0.558
P 0.189 0.482 0.715
P 0.361 0.894 0.201
P 0.639 0.106 0.799
P 0.811 0.518 0.285
O 0.029 0.407 0.312
O 0.085 0.261 0.621
O 0.152 0.950 0.108
O 0.271 0.514 0.879
O 0.302 0.675 0.196
O 0.399 0.010 0.366
O 0.410 0.060 0.866
O 0.420 0.556 0.653
O 0.580 0.444 0.347
O 0.590 0.940 0.134
O 0.601 0.990 0.634
O 0.698 0.325 0.804
O 0.729 0.486 0.121
O 0.848 0.050 0.892
O 0.915 0.739 0.379
O 0.971 0.593 0.688

No. 6
This record from the Materials Project database describes a relaxed structure of TaBiP4O14. The functional is PBE-GGA.

Lattice parameters (Å, degrees): 8.675 8.545 8.535 90.00 90.67 90.00
Positions (direct):
Ta 0.000 0.000 0.000
Ta 0.000 0.500 0.500
Bi 0.500 0.000 0.500
Bi 0.500 0.500 0.000
P 0.090 0.116 0.387
P 0.090 0.384 0.887
P 0.374 0.591 0.401
P 0.374 0.909 0.901
P 0.626 0.091 0.099
P 0.626 0.409 0.599
P 0.910 0.616 0.113
P 0.910 0.884 0.613
O 0.000 0.000 0.500
O 0.000 0.500 0.000
O 0.025 0.220 0.924
O 0.025 0.280 0.424
O 0.037 0.070 0.220
O 0.037 0.430 0.720
O 0.220 0.539 0.479
O 0.220 0.961 0.979
O 0.260 0.105 0.413
O 0.260 0.395 0.913
O 0.376 0.532 0.235
O 0.376 0.968 0.735
O 0.399 0.736 0.922
O 0.399 0.764 0.422
O 0.500 0.000 0.000
O 0.500 0.500 0.500
O 0.601 0.236 0.578
O 0.601 0.264 0.078
O 0.624 0.032 0.265
O 0.624 0.468 0.765
O 0.740 0.605 0.087
O 0.740 0.895 0.587
O 0.780 0.039 0.021
O 0.780 0.461 0.521
O 0.963 0.570 0.280
O 0.963 0.930 0.780
O 0.975 0.720 0.576
O 0.975 0.780 0.076

No. 7
This record from the Materials Project database describes a relaxed structure of TiBi6P2O16. The functional is PBE-GGA.

Lattice parameters (Å, degrees): 8.204 8.204 11.359 129.65 129.65 38.71
Positions (direct):
Ti 0.000 0.000 0.000
Bi 0.018 0.002 0.678
Bi 0.348 0.328 0.348
Bi 0.392 0.284 0.013
Bi 0.672 0.652 0.652
Bi 0.716 0.608 0.987
Bi 0.998 0.982 0.322
P 0.340 0.374 0.724
P 0.626 0.660 0.276
O 0.034 0.145 0.947
O 0.081 0.576 0.177
O 0.144 0.652 0.834
O 0.188 0.260 0.588
O 0.264 0.736 0.500
O 0.348 0.856 0.166
O 0.420 0.440 0.676
O 0.424 0.919 0.823
O 0.560 0.580 0.324
O 0.577 0.080 0.179
O 0.597 0.178 0.832
O 0.740 0.812 0.412
O 0.754 0.246 0.500
O 0.822 0.403 0.168
O 0.855 0.966 0.053
O 0.920 0.423 0.821

No. 8
This record from the Materials Project database describes a relaxed structure of TiBiP3O12. The functional is PBE-GGA.

Lattice parameters (Å, degrees): 9.001 9.001 9.001 58.54 58.54 58.54
Positions (direct):
Ti 0.000 0.000 0.000
Ti 0.500 0.500 0.500
Bi 0.285 0.285 0.285
Bi 0.785 0.785 0.785
P 0.106 0.385 0.684
P 0.184 0.885 0.606
P 0.385 0.684 0.106
P 0.606 0.184 0.885
P 0.684 0.106 0.385
P 0.885 0.606 0.184
O 0.021 0.863 0.611
O 0.049 0.419 0.210
O 0.082 0.210 0.856
O 0.111 0.363 0.521
O 0.141 0.922 0.774
O 0.210 0.049 0.419
O 0.210 0.856 0.082
O 0.274 0.422 0.641
O 0.356 0.710 0.582
O 0.363 0.521 0.111
O 0.419 0.210 0.049
O 0.422 0.641 0.274
O 0.521 0.111 0.363
O 0.549 0.710 0.919
O 0.582 0.356 0.710
O 0.611 0.021 0.863
O 0.641 0.274 0.422
O 0.710 0.582 0.356
O 0.710 0.919 0.549
O 0.774 0.141 0.922
O 0.856 0.082 0.210
O 0.863 0.611 0.021
O 0.919 0.549 0.710
O 0.922 0.774 0.141

The evaluated V for the records listed, in turn: 16.50, 15.76, 15.53, 14.71, 15.08, 15.82, 14.09, 14.66 Å³/atom.
The evaluated E_tot for the records listed, in turn: -6.162, -6.573, -6.697, -7.035, -6.791, -7.559, -6.662, -7.177 eV/atom.
The evaluated formation energy from the elements for the records listed, in turn: -136.4, -47.7, -44.8, -65.5, -31.0, -54.1, -56.3, -42.9 eV per formula unit.